Record 1
Here is a relaxed K2RbPrBr6 crystal from the Materials Project database. Energies are from PBE.

Unit cell a=8.703 b=8.703 c=8.703 alpha=60.00 beta=60.00 gamma=60.00
Fractional positions:
Br (0.764, 0.236, 0.236)
Br (0.236, 0.236, 0.764)
K (0.250, 0.250, 0.250)
Rb (0.500, 0.500, 0.500)
Pr (0.000, 0.000, 0.000)
K (0.750, 0.750, 0.750)
Br (0.764, 0.236, 0.764)
Br (0.236, 0.764, 0.764)
Br (0.236, 0.764, 0.236)
Br (0.764, 0.764, 0.236)

ΔE_f ... -2.05 eV per atom
SG ... No. 225
Volume ... 466.2 Å³ per cell

***

Record 2
Here is a relaxed K2PtBr6 crystal from the Materials Project database. Energies are from PBE.

Unit cell a=8.648 b=8.648 c=8.648 alpha=132.87 beta=130.29 gamma=70.91
Fractional positions:
Br (0.171, 0.500, 0.671)
Pt (0.000, 0.000, 0.000)
Br (0.829, 0.500, 0.329)
Br (0.881, 0.123, 0.758)
Br (0.119, 0.877, 0.242)
Br (0.364, 0.123, 0.242)
K (0.323, 0.323, 0.000)
K (0.677, 0.677, 0.000)
Br (0.636, 0.877, 0.758)

ΔE_f ... -1.07 eV per atom
SG ... No. 71
Volume ... 354.2 Å³ per cell
Distance to the lowest polymorph of the same formula ... 2.548 eV per formula unit

***

Record 3
Here is a relaxed K2PtBr6 crystal from the Materials Project database. Energies are from PBE.

Unit cell a=7.475 b=7.475 c=7.475 alpha=60.00 beta=60.00 gamma=60.00
Fractional positions:
K (0.750, 0.750, 0.750)
Br (0.237, 0.237, 0.763)
Br (0.237, 0.763, 0.237)
Br (0.763, 0.237, 0.237)
Br (0.763, 0.237, 0.763)
Br (0.237, 0.763, 0.763)
Pt (0.000, 0.000, 0.000)
K (0.250, 0.250, 0.250)
Br (0.763, 0.763, 0.237)

ΔE_f ... -1.35 eV per atom
SG ... No. 225
Volume ... 295.3 Å³ per cell
Distance to the lowest polymorph of the same formula ... 0.000 eV per formula unit

***

Record 4
Here is a relaxed K2RbTaBr6 crystal from the Materials Project database. Energies are from PBE.

Unit cell a=8.266 b=8.266 c=8.266 alpha=60.00 beta=60.00 gamma=60.00
Fractional positions:
Br (0.224, 0.224, 0.776)
Br (0.224, 0.776, 0.776)
Br (0.776, 0.224, 0.224)
K (0.250, 0.250, 0.250)
Br (0.776, 0.224, 0.776)
Br (0.776, 0.776, 0.224)
Rb (0.500, 0.500, 0.500)
K (0.750, 0.750, 0.750)
Ta (0.000, 0.000, 0.000)
Br (0.224, 0.776, 0.224)

ΔE_f ... -1.55 eV per atom
SG ... No. 225
Volume ... 399.4 Å³ per cell

***

Record 5
Here is a relaxed K2RbTlBr6 crystal from the Materials Project database. Energies are from PBE.

Unit cell a=8.489 b=8.489 c=8.489 alpha=60.00 beta=60.00 gamma=60.00
Fractional positions:
K (0.750, 0.750, 0.750)
Br (0.231, 0.769, 0.769)
Tl (0.000, 0.000, 0.000)
Br (0.769, 0.769, 0.231)
K (0.250, 0.250, 0.250)
Br (0.231, 0.231, 0.769)
Br (0.769, 0.231, 0.231)
Br (0.769, 0.231, 0.769)
Br (0.231, 0.769, 0.231)
Rb (0.500, 0.500, 0.500)

ΔE_f ... -1.49 eV per atom
SG ... No. 225
Volume ... 432.6 Å³ per cell

***

Record 6
Here is a relaxed K2TlSbBr6 crystal from the Materials Project database. Energies are from PBE.

Unit cell a=8.392 b=8.392 c=8.392 alpha=60.00 beta=60.00 gamma=60.00
Fractional positions:
K (0.250, 0.250, 0.250)
Br (0.237, 0.763, 0.237)
Br (0.763, 0.237, 0.237)
Br (0.763, 0.763, 0.237)
Tl (0.500, 0.500, 0.500)
Br (0.237, 0.763, 0.763)
K (0.750, 0.750, 0.750)
Br (0.763, 0.237, 0.763)
Sb (0.000, 0.000, 0.000)
Br (0.237, 0.237, 0.763)

ΔE_f ... -1.40 eV per atom
SG ... No. 225
Volume ... 417.9 Å³ per cell

***

Record 7
Here is a relaxed K2SeBr6 crystal from the Materials Project database. Energies are from PBE.

Unit cell a=7.578 b=7.578 c=7.578 alpha=60.00 beta=60.00 gamma=60.00
Fractional positions:
Br (0.243, 0.757, 0.243)
Br (0.757, 0.243, 0.243)
Se (0.000, 0.000, 0.000)
Br (0.243, 0.243, 0.757)
Br (0.243, 0.757, 0.757)
Br (0.757, 0.243, 0.757)
K (0.750, 0.750, 0.750)
Br (0.757, 0.757, 0.243)
K (0.250, 0.250, 0.250)

ΔE_f ... -1.25 eV per atom
SG ... No. 225
Volume ... 307.7 Å³ per cell

***

Record 8
Here is a relaxed K2SmBr5 crystal from the Materials Project database. Energies are from PBE.

Unit cell a=8.558 b=9.176 c=13.610 alpha=90.00 beta=90.00 gamma=90.00
Fractional positions:
K (0.949, 0.495, 0.828)
Br (0.163, 0.250, 0.703)
Br (0.664, 0.457, 0.076)
Sm (0.423, 0.250, 0.995)
Sm (0.577, 0.750, 0.005)
Br (0.375, 0.750, 0.178)
Br (0.836, 0.043, 0.576)
Sm (0.923, 0.750, 0.505)
Br (0.164, 0.543, 0.424)
Br (0.875, 0.250, 0.322)
Br (0.578, 0.750, 0.508)
Br (0.837, 0.750, 0.297)
K (0.449, 0.505, 0.672)
Br (0.164, 0.957, 0.424)
Br (0.625, 0.250, 0.822)
Br (0.337, 0.250, 0.203)
Br (0.336, 0.543, 0.924)
Br (0.663, 0.750, 0.797)
K (0.949, 0.005, 0.828)
K (0.051, 0.505, 0.172)
K (0.551, 0.495, 0.328)
K (0.551, 0.005, 0.328)
Br (0.422, 0.250, 0.492)
Br (0.336, 0.957, 0.924)
Br (0.078, 0.250, 0.992)
Br (0.125, 0.750, 0.678)
K (0.051, 0.995, 0.172)
Sm (0.077, 0.250, 0.495)
Br (0.836, 0.457, 0.576)
Br (0.664, 0.043, 0.076)
Br (0.922, 0.750, 0.008)
K (0.449, 0.995, 0.672)

ΔE_f ... -2.20 eV per atom
SG ... No. 62
Volume ... 1068.7 Å³ per cell

***

Record 9
Here is a relaxed KSn2Br5 crystal from the Materials Project database. Energies are from PBE.

Unit cell a=9.620 b=9.620 c=9.620 alpha=127.71 beta=127.71 gamma=77.10
Fractional positions:
Br (0.529, 0.704, 0.500)
Br (0.000, 0.000, 0.000)
Sn (0.677, 0.177, 0.854)
Sn (0.823, 0.677, 0.500)
Br (0.796, 0.971, 0.500)
Sn (0.323, 0.823, 0.146)
Br (0.204, 0.029, 0.500)
Br (0.029, 0.529, 0.825)
Br (0.704, 0.204, 0.175)
Sn (0.177, 0.323, 0.500)
Br (0.500, 0.500, 0.000)
K (0.250, 0.250, 0.000)
Br (0.971, 0.471, 0.175)
K (0.750, 0.750, 0.000)
Br (0.471, 0.296, 0.500)
Br (0.296, 0.796, 0.825)

ΔE_f ... -1.37 eV per atom
SG ... No. 140
Volume ... 540.8 Å³ per cell

***

Record 10
Here is a relaxed K2SnBr6 crystal from the Materials Project database. Energies are from PBE.

Unit cell a=7.647 b=7.647 c=7.647 alpha=60.00 beta=60.00 gamma=60.00
Fractional positions:
Br (0.245, 0.755, 0.755)
Br (0.245, 0.755, 0.245)
Sn (0.000, 0.000, 0.000)
Br (0.755, 0.755, 0.245)
Br (0.755, 0.245, 0.755)
Br (0.245, 0.245, 0.755)
Br (0.755, 0.245, 0.245)
K (0.750, 0.750, 0.750)
K (0.250, 0.250, 0.250)

ΔE_f ... -1.53 eV per atom
SG ... No. 225
Volume ... 316.2 Å³ per cell
Distance to the lowest polymorph of the same formula ... 0.128 eV per formula unit

***

Record 11
Here is a relaxed K2SnBr6 crystal from the Materials Project database. Energies are from PBE.

Unit cell a=7.480 b=7.480 c=11.322 alpha=90.00 beta=90.00 gamma=90.00
Fractional positions:
Sn (0.500, 0.500, 0.500)
Br (0.189, 0.700, 0.000)
Br (0.700, 0.811, 0.000)
K (0.500, 0.000, 0.250)
Br (0.689, 0.800, 0.500)
Br (0.811, 0.300, 0.000)
Br (0.800, 0.311, 0.500)
Sn (0.000, 0.000, 0.000)
K (0.000, 0.500, 0.750)
Br (0.000, 0.000, 0.237)
K (0.000, 0.500, 0.250)
Br (0.200, 0.689, 0.500)
Br (0.000, 0.000, 0.763)
Br (0.300, 0.189, 0.000)
Br (0.500, 0.500, 0.737)
K (0.500, 0.000, 0.750)
Br (0.500, 0.500, 0.263)
Br (0.311, 0.200, 0.500)

ΔE_f ... -1.54 eV per atom
SG ... No. 128
Volume ... 633.4 Å³ per cell
Distance to the lowest polymorph of the same formula ... 0.046 eV per formula unit

***

Record 12
Here is a relaxed KSnBr3 crystal from the Materials Project database. Energies are from PBE.

Unit cell a=4.519 b=9.651 c=16.280 alpha=90.00 beta=90.00 gamma=90.00
Fractional positions:
Br (0.750, 0.341, 0.997)
Sn (0.250, 0.664, 0.438)
Sn (0.250, 0.164, 0.062)
Br (0.250, 0.525, 0.619)
Sn (0.750, 0.336, 0.562)
Br (0.750, 0.475, 0.381)
K (0.250, 0.419, 0.827)
Br (0.750, 0.975, 0.119)
Br (0.250, 0.659, 0.003)
Sn (0.750, 0.836, 0.938)
Br (0.750, 0.201, 0.714)
Br (0.250, 0.025, 0.881)
Br (0.750, 0.701, 0.786)
Br (0.250, 0.159, 0.497)
K (0.750, 0.581, 0.173)
Br (0.750, 0.841, 0.503)
K (0.750, 0.081, 0.327)
Br (0.250, 0.299, 0.214)
Br (0.250, 0.799, 0.286)
K (0.250, 0.919, 0.673)

ΔE_f ... -1.50 eV per atom
SG ... No. 62
Volume ... 710.1 Å³ per cell